Record 1
{
  "formula": "Sm3Zr",
  "functional": "r2SCAN",
  "state": "relaxed",
  "energy_ev_per_cell": -111.394,
  "ef_kj_per_mol_atoms": 13,
  "lattice": [[-2.483, 2.483, 4.913], [2.483, -2.483, 4.913], [2.483, 2.483, -4.913]],
  "species": ["Sm", "Sm", "Sm", "Zr"],
  "frac_coords": [[0.500, 0.500, 0.000], [0.750, 0.250, 0.500], [0.250, 0.750, 0.500], [0.000, 0.000, 0.000]]
}

Record 2
{
  "formula": "Sr2Sn",
  "functional": "r2SCAN",
  "state": "relaxed",
  "energy_ev_per_cell": -228.880,
  "ef_kj_per_mol_atoms": -70,
  "lattice": [[-5.238, -0.732, -0.969], [1.124, -8.380, 0.249], [-1.844, 0.048, 9.931]],
  "species": ["Sr", "Sr", "Sr", "Sr", "Sr", "Sr", "Sr", "Sr", "Sn", "Sn", "Sn", "Sn"],
  "frac_coords": [[0.750, 0.655, 0.574], [0.250, 0.479, 0.820], [0.250, 0.979, 0.680], [0.750, 0.155, 0.926], [0.750, 0.521, 0.180], [0.250, 0.845, 0.074], [0.750, 0.021, 0.320], [0.250, 0.345, 0.426], [0.750, 0.752, 0.894], [0.250, 0.748, 0.394], [0.750, 0.252, 0.606], [0.250, 0.248, 0.106]]
}

Record 3
{
  "formula": "SrSn",
  "functional": "r2SCAN",
  "state": "relaxed",
  "energy_ev_per_cell": -82.900,
  "ef_kj_per_mol_atoms": -75,
  "lattice": [[-2.331, 1.487, -3.623], [2.730, -3.063, -3.014], [-5.412, -2.864, 2.308]],
  "species": ["Sr", "Sr", "Sn", "Sn"],
  "frac_coords": [[0.750, 0.135, 0.270], [0.250, 0.865, 0.730], [0.750, 0.422, 0.843], [0.250, 0.578, 0.157]]
}

Record 4
{
  "formula": "SrZnSn",
  "functional": "r2SCAN",
  "state": "relaxed",
  "energy_ev_per_cell": -101.241,
  "ef_kj_per_mol_atoms": -58,
  "lattice": [[-1.037, 0.291, 4.480], [2.255, -3.683, -1.608], [8.032, 4.225, 1.585]],
  "species": ["Sn", "Sn", "Zn", "Zn", "Sr", "Sr"],
  "frac_coords": [[0.667, 0.334, 0.750], [0.333, 0.666, 0.250], [0.666, 0.332, 0.250], [0.334, 0.668, 0.750], [0.000, 0.000, 0.500], [0.000, 0.000, 0.000]]
}

Record 5
{
  "formula": "SrZn2Sn2",
  "functional": "r2SCAN",
  "state": "relaxed",
  "energy_ev_per_cell": -168.833,
  "ef_kj_per_mol_atoms": -38,
  "lattice": [[4.618, 0.000, 0.000], [0.000, 4.643, 0.004], [0.000, 0.141, 11.330]],
  "species": ["Sn", "Sn", "Sn", "Sn", "Zn", "Zn", "Zn", "Zn", "Sr", "Sr"],
  "frac_coords": [[0.750, 0.218, 0.870], [0.250, 0.245, 0.500], [0.250, 0.782, 0.130], [0.750, 0.755, 0.500], [0.750, 0.719, 0.000], [0.250, 0.281, 0.000], [0.750, 0.254, 0.639], [0.250, 0.746, 0.361], [0.750, 0.262, 0.243], [0.250, 0.738, 0.757]]
}

Record 6
{
  "formula": "TbSn2",
  "functional": "r2SCAN",
  "state": "relaxed",
  "energy_ev_per_cell": -165.366,
  "ef_kj_per_mol_atoms": -63,
  "lattice": [[3.610, 1.816, -1.533], [2.151, -1.191, 3.655], [1.029, -6.607, -5.403]],
  "species": ["Sn", "Sn", "Sn", "Sn", "Tb", "Tb"],
  "frac_coords": [[0.750, 0.747, 0.496], [0.250, 0.561, 0.121], [0.250, 0.253, 0.504], [0.750, 0.439, 0.879], [0.750, 0.101, 0.201], [0.250, 0.899, 0.799]]
}

Record 7
{
  "formula": "Tb5Sn3",
  "functional": "r2SCAN",
  "state": "relaxed",
  "energy_ev_per_cell": -474.399,
  "ef_kj_per_mol_atoms": -82,
  "lattice": [[0.282, 5.471, -3.692], [1.888, 4.840, 7.316], [6.646, -3.604, -4.833]],
  "species": ["Sn", "Sn", "Sn", "Sn", "Sn", "Sn", "Tb", "Tb", "Tb", "Tb", "Tb", "Tb", "Tb", "Tb", "Tb", "Tb"],
  "frac_coords": [[0.250, 0.000, 0.394], [0.750, 0.606, 0.000], [0.250, 0.394, 0.000], [0.250, 0.606, 0.606], [0.750, 0.000, 0.606], [0.750, 0.394, 0.394], [0.250, 0.761, 0.000], [0.500, 0.667, 0.333], [0.750, 0.239, 0.000], [0.250, 0.000, 0.761], [0.750, 0.000, 0.239], [0.750, 0.761, 0.761], [0.500, 0.333, 0.667], [0.000, 0.667, 0.333], [0.000, 0.333, 0.667], [0.250, 0.239, 0.239]]
}

Record 8
{
  "formula": "Tb5Sn4",
  "functional": "r2SCAN",
  "state": "relaxed",
  "energy_ev_per_cell": -1052.411,
  "ef_kj_per_mol_atoms": -86,
  "lattice": [[2.207, 6.007, -4.959], [-7.684, 0.574, -2.725], [-3.168, 10.337, 11.112]],
  "species": ["Sn", "Sn", "Sn", "Sn", "Sn", "Sn", "Sn", "Sn", "Sn", "Sn", "Sn", "Sn", "Sn", "Sn", "Sn", "Sn", "Tb", "Tb", "Tb", "Tb", "Tb", "Tb", "Tb", "Tb", "Tb", "Tb", "Tb", "Tb", "Tb", "Tb", "Tb", "Tb", "Tb", "Tb", "Tb", "Tb"],
  "frac_coords": [[0.422, 0.379, 0.250], [0.578, 0.621, 0.750], [0.280, 0.032, 0.457], [0.841, 0.356, 0.750], [0.922, 0.121, 0.250], [0.280, 0.032, 0.043], [0.720, 0.968, 0.957], [0.220, 0.532, 0.957], [0.659, 0.856, 0.250], [0.780, 0.468, 0.043], [0.220, 0.532, 0.543], [0.720, 0.968, 0.543], [0.078, 0.879, 0.750], [0.341, 0.144, 0.750], [0.159, 0.644, 0.250], [0.780, 0.468, 0.457], [0.380, 0.840, 0.881], [0.788, 0.497, 0.250], [0.534, 0.323, 0.601], [0.034, 0.177, 0.601], [0.288, 0.003, 0.250], [0.880, 0.660, 0.881], [0.880, 0.660, 0.619], [0.712, 0.997, 0.750], [0.466, 0.677, 0.399], [0.120, 0.340, 0.119], [0.466, 0.677, 0.101], [0.966, 0.823, 0.399], [0.120, 0.340, 0.381], [0.212, 0.503, 0.750], [0.620, 0.160, 0.119], [0.620, 0.160, 0.381], [0.034, 0.177, 0.899], [0.966, 0.823, 0.101], [0.534, 0.323, 0.899], [0.380, 0.840, 0.619]]
}